Record 1
Below is a geometry-optimized HoFeCo structure, with properties calculated at the meta-GGA r2SCAN level.

Computed properties:
As for the total energy: -20.31 eV/atom. Its size of the total moment is 6.24 μB/cell. The calculation puts the formation energy at -0.13 eV per atom. As for the symmetry: No. 74.

extended XYZ file:
```
6
Lattice="-2.593 2.608 3.485 2.593 -2.608 3.485 2.593 2.608 -3.485" Properties=species:S:1:pos:R:3 pbc="T T T"
Ho 0.000 1.304 0.902
Ho 2.593 1.304 2.583
Fe 1.297 1.304 -1.742
Fe 1.297 -1.304 1.742
Co 2.593 0.000 0.000
Co 0.000 0.000 3.485
```

Record 2
Below is a geometry-optimized Li4FeCo3O8 structure, with properties calculated at the meta-GGA r2SCAN level.

Computed properties:
As for the total energy: -8.62 eV/atom. Its size of the total moment is 8.96 μB/cell. The calculation puts the formation energy at -1.66 eV per atom. As for the symmetry: No. 1.

extended XYZ file:
```
16
Lattice="4.987 0.000 0.000 -0.012 5.483 0.000 -0.006 -0.074 6.284" Properties=species:S:1:pos:R:3 pbc="T T T"
Li 0.000 0.000 0.000
Li 0.023 2.673 4.703
Li 2.509 4.558 1.582
Li 2.549 1.823 3.138
Fe 0.030 2.718 1.558
Co 0.038 5.445 3.152
Co 2.504 1.747 6.227
Co 2.530 4.546 4.735
O 1.885 -0.038 3.271
O 1.929 2.689 1.518
O 1.998 0.007 6.227
O 2.035 2.791 4.813
O 4.366 4.531 4.601
O 4.411 1.850 0.003
O 4.452 4.527 1.626
O 4.511 1.744 3.105
```

Record 3
Below is a geometry-optimized Sr10Fe3Co2Mo5O30 structure, with properties calculated at the meta-GGA r2SCAN level.

Computed properties:
As for the total energy: -13.19 eV/atom. Its size of the total moment is 18.00 μB/cell. The calculation puts the formation energy at -2.58 eV per atom. As for the symmetry: No. 2.

extended XYZ file:
```
50
Lattice="7.863 0.000 0.000 3.927 8.789 0.000 3.930 -0.097 8.859" Properties=species:S:1:pos:R:3 pbc="T T T"
Sr 1.963 0.862 2.655
Sr 5.894 2.566 7.986
Sr 5.890 4.341 4.421
Sr 5.892 6.138 0.877
Sr 9.827 7.836 6.201
Sr 5.893 0.856 2.658
Sr 9.828 2.554 7.982
Sr 9.830 4.351 4.438
Sr 9.826 6.126 0.873
Sr 13.757 7.830 6.203
Fe 0.000 0.000 0.000
Fe 7.861 7.004 3.542
Fe 7.860 1.688 5.317
Co 3.928 3.484 1.776
Co 11.792 5.208 7.083
Mo 3.927 1.714 5.319
Mo 7.861 5.186 7.092
Mo 3.932 0.000 0.000
Mo 7.859 3.506 1.767
Mo 11.793 6.978 3.540
O 3.929 0.826 7.040
O 4.169 5.286 2.680
O 5.968 4.993 6.967
O 7.613 6.915 7.957
O 5.850 7.212 3.650
O 3.936 2.558 3.607
O 7.857 4.324 8.801
O 9.858 8.480 8.749
O 4.173 -0.012 4.454
O 3.700 1.695 0.860
O 5.855 1.915 5.437
O 7.860 6.079 5.346
O 7.855 7.905 1.740
O 5.972 3.273 1.677
O 8.109 3.482 6.215
O 7.611 5.210 2.644
O 9.748 5.419 7.182
O 7.865 0.787 7.119
O 7.860 2.613 3.513
O 9.865 6.777 3.422
O 12.020 6.997 7.999
O 11.547 8.704 4.404
O 5.862 0.212 0.109
O 7.863 4.368 0.058
O 11.784 6.134 5.252
O 9.870 1.480 5.209
O 8.107 1.777 0.902
O 9.752 3.699 1.892
O 11.551 3.406 6.179
O 11.791 7.866 1.819
```

Record 4
Below is a geometry-optimized Fe2CoO4 structure, with properties calculated at the meta-GGA r2SCAN level.

Computed properties:
As for the total energy: -10.90 eV/atom. Its size of the total moment is 26.00 μB/cell. The calculation puts the formation energy at -1.47 eV per atom. As for the symmetry: No. 227.

extended XYZ file:
```
14
Lattice="0.000 4.223 4.223 4.223 0.000 4.223 4.223 4.223 0.000" Properties=species:S:1:pos:R:3 pbc="T T T"
Fe 0.000 0.000 0.000
Fe 2.112 2.112 0.000
Fe 2.112 0.000 2.112
Fe 0.000 2.112 2.112
Co 3.167 3.167 3.167
Co 5.279 5.279 5.279
O 6.413 4.145 4.145
O 2.034 2.034 2.034
O 4.301 4.301 2.034
O 4.301 2.034 4.301
O 4.145 6.413 4.145
O 4.145 4.145 6.413
O 6.413 6.413 6.413
O 2.034 4.301 4.301
```

Record 5
Below is a geometry-optimized FeCo3S8 structure, with properties calculated at the meta-GGA r2SCAN level.

Computed properties:
As for the total energy: -10.32 eV/atom. Its size of the total moment is 3.00 μB/cell. The calculation puts the formation energy at -0.45 eV per atom. As for the symmetry: No. 148.

extended XYZ file:
```
12
Lattice="3.881 2.241 3.174 -3.881 2.241 3.174 0.000 -4.482 3.174" Properties=species:S:1:pos:R:3 pbc="T T T"
Fe 0.000 0.000 0.000
Co -1.941 -1.120 3.174
Co -1.941 1.120 6.347
Co 0.000 2.241 3.174
S -1.971 -2.369 5.127
S -3.037 0.522 4.394
S 1.066 -2.892 4.394
S 0.000 0.000 3.722
S 0.000 0.000 5.799
S -1.066 2.892 5.127
S 3.037 -0.522 5.127
S 1.971 2.369 4.394
```

Record 6
Below is a geometry-optimized Ti2FeCo structure, with properties calculated at the meta-GGA r2SCAN level.

Computed properties:
As for the total energy: -13.70 eV/atom. Its size of the total moment is 0.99 μB/cell. The calculation puts the formation energy at -0.32 eV per atom. As for the symmetry: No. 225.

extended XYZ file:
```
4
Lattice="0.000 2.981 2.981 2.981 0.000 2.981 2.981 2.981 0.000" Properties=species:S:1:pos:R:3 pbc="T T T"
Ti 1.490 1.490 1.490
Ti 4.471 4.471 4.471
Fe 0.000 0.000 0.000
Co 2.981 2.981 2.981
```

Record 7
Below is a geometry-optimized Zr4FeCo structure, with properties calculated at the meta-GGA r2SCAN level.

Computed properties:
As for the total energy: -19.86 eV/atom. Its size of the total moment is 0.02 μB/cell. The calculation puts the formation energy at -0.08 eV per atom. As for the symmetry: No. 97.

extended XYZ file:
```
6
Lattice="-3.144 3.144 2.841 3.144 -3.144 2.841 3.144 3.144 -2.841" Properties=species:S:1:pos:R:3 pbc="T T T"
Zr 2.031 -1.113 1.421
Zr 4.257 1.113 1.421
Zr 1.113 2.031 1.421
Zr -1.113 4.257 1.421
Fe 0.000 0.000 0.000
Co 0.000 0.000 2.841
```

Record 8
Below is a geometry-optimized Ga3Co structure, with properties calculated at the meta-GGA r2SCAN level.

Computed properties:
As for the total energy: -12.09 eV/atom. Its size of the total moment is 0.00 μB/cell. The calculation puts the formation energy at -0.20 eV per atom. As for the symmetry: No. 136.

extended XYZ file:
```
16
Lattice="6.181 0.000 0.000 0.000 6.181 0.000 0.000 0.000 6.394" Properties=species:S:1:pos:R:3 pbc="T T T"
Ga 0.000 3.090 0.000
Ga 0.000 3.090 3.197
Ga 0.938 0.938 1.554
Ga 0.938 0.938 4.840
Ga 2.153 4.028 1.643
Ga 2.153 4.028 4.751
Ga 3.090 0.000 0.000
Ga 3.090 0.000 3.197
Ga 4.028 2.153 1.643
Ga 4.028 2.153 4.751
Ga 5.243 5.243 1.554
Ga 5.243 5.243 4.840
Co 0.964 5.217 0.000
Co 2.127 2.127 3.197
Co 4.054 4.054 3.197
Co 5.217 0.964 0.000
```